GeAs | GGA-PBE | relaxed

The structure in extended XYZ format:
```
2
Lattice="-1.8666 1.8666 3.0290 1.8666 -1.8666 3.0290 1.8666 1.8666 -3.0290" Properties=species:S:1:pos:R:3 pbc="T T T"
As 0.0000 0.0000 2.5198
Ge 0.0000 0.0000 6.0463
```

Computed properties:
Total DFT energy (no corrections) = -4.579 eV/atom
Symmetry = I4mm (107)
M_tot = 0.00 μB per formula unit
Volume = 21.11 Å³/atom